Record 1
Na3AlP2H2O9 | GGA-PBE | optimized geometry

Values from the calculation:
For the calculated volume, the calculation gives 11.46 Å³/atom. As for the space group: C2/m. The value obtained for the final energy is -6.290 eV per atom. Its formation energy is -2.5450 eV/atom.

Unit cell a=8.4988 b=8.4988 c=7.1394 alpha=83.97 beta=83.97 gamma=49.50
With the nearest neighbours (Å) after each atom.
Sites, in units of the cell vectors:
Na 0.3898 0.3898 0.7093  2 O 2.20-2.26
O 0.3336 0.3336 0.4302  1 P 1.53
Na 0.6102 0.6102 0.2907  2 O 2.20-2.26
Na 0.0000 0.5000 0.5000  2 O 2.22
Al 0.5000 0.0000 0.0000  6 O 1.89-1.96
Na 0.5000 0.0000 0.5000  2 O 2.22
O 0.1210 0.1210 0.5158  1 H 1.01
O 0.0259 0.0259 0.2415  1 P 1.53, 1 H 1.68
O 0.0097 0.6495 0.7766  1 P 1.55
O 0.4724 0.8317 0.8808  1 P 1.58
O 0.8317 0.4724 0.8808  1 P 1.58
H 0.1932 0.1932 0.8248  1 O 0.97
Na 0.7651 0.2349 0.0000  6 O 2.42-2.48
Al 0.0000 0.5000 0.0000  6 O 1.89-1.96
O 0.4765 0.4765 0.2127  1 P 1.53
O 0.7566 0.7566 0.1049  1 H 0.97
O 0.9741 0.9741 0.7585  1 P 1.53, 1 H 1.68
P 0.8802 0.8802 0.7100  4 O 1.53-1.61
O 0.3505 0.9903 0.2234  1 P 1.55
O 0.5276 0.1683 0.1192  1 P 1.58
O 0.1683 0.5276 0.1192  1 P 1.58
O 0.5235 0.5235 0.7873  1 P 1.53
O 0.6495 0.0097 0.7766  1 P 1.55
P 0.3771 0.3771 0.2258  4 O 1.53-1.58
O 0.2434 0.2434 0.8951  1 H 0.97
O 0.9903 0.3505 0.2234  1 P 1.55
H 0.8068 0.8068 0.1752  1 O 0.97
P 0.6229 0.6229 0.7742  4 O 1.53-1.58
H 0.0625 0.0625 0.5962  1 O 1.01
Na 0.2349 0.7651 0.0000  6 O 2.42-2.48
P 0.1198 0.1198 0.2900  4 O 1.53-1.61
O 0.6664 0.6664 0.5698  1 P 1.53
H 0.9375 0.9375 0.4038  1 O 1.01
O 0.8790 0.8790 0.4842  1 H 1.01


Record 2
NaAlH12S2O14 | GGA-PBE | optimized geometry

Values from the calculation:
For the calculated volume, the calculation gives 9.72 Å³/atom. As for the space group: P2_1/c. The value obtained for the final energy is -5.495 eV per atom. Its formation energy is -1.7047 eV/atom.

Unit cell a=6.1697 b=7.4377 c=25.5156 alpha=90.00 beta=90.00 gamma=94.67
With the nearest neighbours (Å) after each atom.
Sites, in units of the cell vectors:
O 0.2655 0.2889 0.0373  1 S 1.50, 1 H 1.66
H 0.4196 0.6449 0.4340  1 O 1.00
Al 0.6765 0.1420 0.1454  6 O 1.89-1.93
H 0.4920 0.4346 0.1348  1 O 1.00
O 0.5370 0.2604 0.4568  1 S 1.49, 1 H 1.52
H 0.3105 0.5200 0.3212  1 O 1.00
S 0.2508 0.2873 0.9786  4 O 1.48-1.50
H 0.4815 0.5566 0.5690  1 O 1.02
H 0.5080 0.0654 0.6348  1 O 1.00
H 0.9195 0.6628 0.2703  1 O 1.00
O 0.2692 0.0989 0.8363  2 H 1.00-1.01
O 0.4199 0.6870 0.2130  1 S 1.50, 1 H 1.59
O 0.7308 0.4011 0.3363  2 H 1.00-1.01
H 0.8815 0.8572 0.1635  1 O 1.01
H 0.6895 0.9800 0.8212  1 O 1.00
O 0.0698 0.6600 0.5396  1 S 1.48
Na 0.1967 0.1131 0.4486  6 O 2.30-2.55
H 0.9549 0.2672 0.5938  1 O 0.98
O 0.9286 0.6390 0.3991  2 H 0.98-1.00
O 0.5801 0.8130 0.7130  1 S 1.50, 1 H 1.59
O 0.3648 0.1142 0.6268  2 H 1.00-1.01
H 0.9353 0.0418 0.0738  1 O 1.00
O 0.2082 0.9748 0.5382  1 S 1.50, 1 H 1.63
O 0.2655 0.7889 0.4627  1 S 1.50, 1 H 1.66
O 0.0698 0.1600 0.9604  1 S 1.48
O 0.5370 0.7604 0.0432  1 S 1.49, 1 H 1.52
H 0.0451 0.7328 0.4062  1 O 0.98
H 0.4205 0.1453 0.2260  1 O 1.01
O 0.5812 0.3770 0.6869  2 H 1.00-1.01
O 0.5006 0.4394 0.5882  2 H 1.00-1.02
Na 0.8033 0.8869 0.5514  6 O 2.30-2.55
O 0.0428 0.5587 0.2201  1 S 1.50, 1 H 1.65
O 0.4630 0.7396 0.5432  1 S 1.49, 1 H 1.52
O 0.1538 0.7647 0.7970  2 H 1.00-1.01
O 0.4188 0.1230 0.1869  2 H 1.00-1.01
O 0.7533 0.4775 0.8606  1 S 1.49
H 0.8815 0.3572 0.3365  1 O 1.01
O 0.6352 0.8858 0.3732  2 H 1.00-1.01
O 0.7345 0.2111 0.5373  1 S 1.50, 1 H 1.66
H 0.6237 0.8158 0.1824  1 O 1.00
O 0.8462 0.7353 0.2970  2 H 1.00-1.01
H 0.9148 0.3625 0.2051  1 O 1.01
O 0.0714 0.8610 0.8991  2 H 0.98-1.00
H 0.4815 0.0566 0.9310  1 O 1.02
H 0.3105 0.0200 0.1788  1 O 1.00
H 0.5795 0.8547 0.7740  1 O 1.01
S 0.2508 0.7873 0.5214  4 O 1.48-1.50
H 0.0647 0.9582 0.9262  1 O 1.00
H 0.9195 0.1628 0.2297  1 O 1.00
O 0.5006 0.9394 0.9118  2 H 1.00-1.02
O 0.7918 0.0252 0.4618  1 S 1.50, 1 H 1.63
H 0.4920 0.9346 0.3652  1 O 1.00
H 0.1185 0.6428 0.6635  1 O 1.01
O 0.0428 0.0587 0.2799  1 S 1.50, 1 H 1.65
H 0.0852 0.6375 0.7949  1 O 1.01
O 0.6352 0.3858 0.1268  2 H 1.00-1.01
O 0.7918 0.5252 0.0382  1 S 1.50, 1 H 1.63
O 0.7308 0.9011 0.1637  2 H 1.00-1.01
O 0.2692 0.5989 0.6637  2 H 1.00-1.01
H 0.5795 0.3547 0.7260  1 O 1.01
O 0.7345 0.7111 0.9627  1 S 1.50, 1 H 1.66
S 0.7492 0.2127 0.4786  4 O 1.48-1.50
H 0.5804 0.8551 0.9340  1 O 1.00
O 0.4188 0.6230 0.3131  2 H 1.00-1.01
O 0.1538 0.2647 0.7030  2 H 1.00-1.01
H 0.0451 0.2328 0.0938  1 O 0.98
O 0.8462 0.2353 0.2030  2 H 1.00-1.01
O 0.2082 0.4748 0.9618  1 S 1.50, 1 H 1.63
H 0.5185 0.9434 0.0690  1 O 1.02
O 0.9286 0.1390 0.1009  2 H 0.98-1.00
O 0.2467 0.5225 0.1394  1 S 1.49
O 0.4994 0.0606 0.0882  2 H 1.00-1.02
H 0.6895 0.4800 0.6788  1 O 1.00
O 0.1362 0.8196 0.1637  1 S 1.49, 1 H 1.62
O 0.5801 0.3130 0.7870  1 S 1.50, 1 H 1.59
H 0.6895 0.9394 0.4077  1 O 1.01
H 0.3105 0.0606 0.5923  1 O 1.01
S 0.7492 0.7127 0.0214  4 O 1.48-1.50
H 0.9353 0.5418 0.4262  1 O 1.00
H 0.5080 0.5654 0.8652  1 O 1.00
O 0.8638 0.6804 0.6637  1 S 1.49, 1 H 1.62
Al 0.3235 0.3580 0.6454  6 O 1.89-1.93
H 0.5804 0.3551 0.5660  1 O 1.00
Na 0.1967 0.6131 0.0514  6 O 2.30-2.55
O 0.1362 0.3196 0.3363  1 S 1.49, 1 H 1.62
O 0.4199 0.1870 0.2870  1 S 1.50, 1 H 1.59
H 0.6237 0.3158 0.3176  1 O 1.00
H 0.3105 0.5606 0.9077  1 O 1.01
Al 0.6765 0.6420 0.3546  6 O 1.89-1.93
Al 0.3235 0.8580 0.8546  6 O 1.89-1.93
O 0.5812 0.8770 0.8131  2 H 1.00-1.01
H 0.3763 0.6842 0.6824  1 O 1.00
H 0.4196 0.1449 0.0660  1 O 1.00
H 0.0805 0.3372 0.7297  1 O 1.00
O 0.8638 0.1804 0.8363  1 S 1.49, 1 H 1.62
O 0.9302 0.8400 0.0396  1 S 1.48
H 0.0647 0.4582 0.5738  1 O 1.00
O 0.0714 0.3610 0.6009  2 H 0.98-1.00
O 0.9572 0.4413 0.7799  1 S 1.50, 1 H 1.65
O 0.4630 0.2396 0.9568  1 S 1.49, 1 H 1.52
S 0.7896 0.8536 0.6839  4 O 1.49-1.50
H 0.5185 0.4434 0.4310  1 O 1.02
O 0.3648 0.6142 0.8732  2 H 1.00-1.01
H 0.1185 0.1428 0.8365  1 O 1.01
H 0.0852 0.1375 0.7051  1 O 1.01
O 0.9572 0.9413 0.7201  1 S 1.50, 1 H 1.65
H 0.9549 0.7672 0.9062  1 O 0.98
H 0.3763 0.1842 0.8176  1 O 1.00
S 0.7896 0.3536 0.8161  4 O 1.49-1.50
S 0.2104 0.1464 0.3161  4 O 1.49-1.50
O 0.7533 0.9775 0.6394  1 S 1.49
O 0.4994 0.5606 0.4118  2 H 1.00-1.02
O 0.2467 0.0225 0.3606  1 S 1.49
H 0.4205 0.6453 0.2740  1 O 1.01
O 0.9302 0.3400 0.4604  1 S 1.48
S 0.2104 0.6464 0.1839  4 O 1.49-1.50
H 0.6895 0.4394 0.0923  1 O 1.01
H 0.9148 0.8625 0.2949  1 O 1.01
Na 0.8033 0.3869 0.9486  6 O 2.30-2.55
H 0.0805 0.8372 0.7703  1 O 1.00


Record 3
NaAlH24S2O20 | GGA-PBE | optimized geometry

Values from the calculation:
For the calculated volume, the calculation gives 9.64 Å³/atom. As for the space group: Pa-3. The value obtained for the final energy is -5.294 eV per atom. Its formation energy is -1.5446 eV/atom.

Unit cell a=12.2797 b=12.2797 c=12.2797 alpha=90.00 beta=90.00 gamma=90.00
With the nearest neighbours (Å) after each atom.
Sites, in units of the cell vectors:
H 0.6425 0.4116 0.6861  1 O 1.00
H 0.8083 0.3871 0.0349  1 O 0.99
H 0.9096 0.6570 0.6118  1 O 1.00
O 0.9601 0.4431 0.6389  2 H 1.00-1.02
O 0.9431 0.6389 0.5399  2 H 1.00-1.02
H 0.5904 0.1570 0.6118  1 O 1.00
H 0.3083 0.1129 0.9651  1 O 0.99
O 0.8078 0.2307 0.8480  1 S 1.49
O 0.9431 0.8611 0.0399  2 H 1.00-1.02
O 0.6847 0.5788 0.4619  2 H 0.99-1.00
H 0.6129 0.9651 0.1917  1 O 0.99
O 0.5569 0.1389 0.5399  2 H 1.00-1.02
S 0.7658 0.2342 0.7342  4 O 1.49-1.50
O 0.8078 0.2693 0.3480  1 S 1.49
Na 0.5000 0.5000 0.5000  6 O 2.51, 6 H 2.77
H 0.3139 0.1425 0.0884  1 O 1.00
H 0.7071 0.4930 0.9486  1 O 1.02
H 0.9486 0.7929 0.9930  1 O 1.02
O 0.1922 0.7307 0.6520  1 S 1.49
S 0.7658 0.2658 0.2342  4 O 1.49-1.50
H 0.6861 0.8575 0.9116  1 O 1.00
O 0.7307 0.8480 0.6922  1 S 1.49
H 0.0904 0.1570 0.8882  1 O 1.00
H 0.5070 0.0514 0.2929  1 O 1.02
O 0.2693 0.1520 0.3078  1 S 1.49
O 0.6635 0.6635 0.6635  1 S 1.50
H 0.8139 0.1425 0.4116  1 O 1.00
H 0.3882 0.0904 0.3430  1 O 1.00
O 0.1635 0.6635 0.8365  1 S 1.50
O 0.3480 0.8078 0.2693  1 S 1.49
S 0.2342 0.7658 0.2658  4 O 1.49-1.50
Al 0.5000 0.0000 0.5000  6 O 1.91
H 0.3575 0.5884 0.3139  1 O 1.00
O 0.9212 0.9619 0.6847  2 H 0.99-1.00
O 0.4431 0.6389 0.9601  2 H 1.00-1.02
O 0.4619 0.8153 0.0788  2 H 0.99-1.00
H 0.9486 0.7071 0.4930  1 O 1.02
O 0.3365 0.3365 0.3365  1 S 1.50
O 0.5788 0.4619 0.6847  2 H 0.99-1.00
H 0.8882 0.4096 0.6570  1 O 1.00
O 0.1635 0.8365 0.3365  1 S 1.50
O 0.7693 0.1520 0.1922  1 S 1.49
H 0.1129 0.9651 0.3083  1 O 0.99
O 0.5399 0.5569 0.1389  2 H 1.00-1.02
H 0.8430 0.3882 0.4096  1 O 1.00
H 0.3871 0.0349 0.8083  1 O 0.99
H 0.8871 0.0349 0.6917  1 O 0.99
H 0.0514 0.2071 0.0070  1 O 1.02
O 0.3153 0.0788 0.0381  2 H 0.99-1.00
H 0.3430 0.1118 0.5904  1 O 1.00
Na 0.5000 0.0000 0.0000  6 O 2.51, 6 H 2.77
H 0.6917 0.8871 0.0349  1 O 0.99
H 0.9930 0.9486 0.7929  1 O 1.02
Na 0.0000 0.5000 0.0000  6 O 2.51, 6 H 2.77
O 0.3611 0.0399 0.5569  2 H 1.00-1.02
H 0.3575 0.9116 0.8139  1 O 1.00
H 0.5514 0.2929 0.9930  1 O 1.02
H 0.8083 0.1129 0.5349  1 O 0.99
H 0.5884 0.3139 0.3575  1 O 1.00
S 0.7342 0.7342 0.7342  4 O 1.49-1.50
H 0.6118 0.9096 0.6570  1 O 1.00
S 0.7342 0.7658 0.2342  4 O 1.49-1.50
H 0.4930 0.9486 0.7071  1 O 1.02
H 0.6861 0.6425 0.4116  1 O 1.00
O 0.2693 0.3480 0.8078  1 S 1.49
H 0.6129 0.5349 0.6917  1 O 0.99
O 0.6922 0.7307 0.8480  1 S 1.49
H 0.8575 0.5884 0.1861  1 O 1.00
O 0.7693 0.3480 0.6922  1 S 1.49
H 0.6425 0.0884 0.1861  1 O 1.00
O 0.6635 0.8365 0.1635  1 S 1.50
H 0.1425 0.0884 0.3139  1 O 1.00
S 0.2658 0.2342 0.7658  4 O 1.49-1.50
O 0.4431 0.8611 0.4601  2 H 1.00-1.02
H 0.0349 0.8083 0.3871  1 O 0.99
O 0.4601 0.0569 0.3611  2 H 1.00-1.02
O 0.3480 0.6922 0.7693  1 S 1.49
O 0.5399 0.9431 0.6389  2 H 1.00-1.02
H 0.8575 0.9116 0.6861  1 O 1.00
O 0.8365 0.1635 0.6635  1 S 1.50
O 0.8611 0.4601 0.4431  2 H 1.00-1.02
O 0.0381 0.1847 0.5788  2 H 0.99-1.00
H 0.6570 0.8882 0.4096  1 O 1.00
O 0.9619 0.8153 0.4212  2 H 0.99-1.00
O 0.0788 0.0381 0.3153  2 H 0.99-1.00
S 0.2658 0.2658 0.2658  4 O 1.49-1.50
H 0.6917 0.6129 0.5349  1 O 0.99
O 0.5569 0.3611 0.0399  2 H 1.00-1.02
O 0.0569 0.1389 0.9601  2 H 1.00-1.02
O 0.3611 0.4601 0.0569  2 H 1.00-1.02
H 0.9096 0.8430 0.1118  1 O 1.00
O 0.6389 0.5399 0.9431  2 H 1.00-1.02
H 0.0070 0.0514 0.2071  1 O 1.02
O 0.6389 0.9601 0.4431  2 H 1.00-1.02
O 0.6520 0.1922 0.7307  1 S 1.49
H 0.6118 0.5904 0.1570  1 O 1.00
H 0.5514 0.2071 0.4930  1 O 1.02
H 0.5349 0.6917 0.6129  1 O 0.99
H 0.1118 0.5904 0.3430  1 O 1.00
H 0.9930 0.5514 0.2929  1 O 1.02
O 0.0399 0.5569 0.3611  2 H 1.00-1.02
O 0.8153 0.4212 0.9619  2 H 0.99-1.00
H 0.2071 0.4930 0.5514  1 O 1.02
H 0.9116 0.6861 0.8575  1 O 1.00
H 0.1917 0.8871 0.4651  1 O 0.99
H 0.8430 0.1118 0.9096  1 O 1.00
O 0.1847 0.5788 0.0381  2 H 0.99-1.00
Al 0.5000 0.5000 0.0000  6 O 1.91
O 0.1389 0.5399 0.5569  2 H 1.00-1.02
O 0.3078 0.2307 0.6520  1 S 1.49
H 0.1917 0.6129 0.9651  1 O 0.99
O 0.6922 0.7693 0.3480  1 S 1.49
H 0.3871 0.4651 0.3083  1 O 0.99
H 0.0884 0.3139 0.1425  1 O 1.00
O 0.0399 0.9431 0.8611  2 H 1.00-1.02
H 0.5349 0.8083 0.1129  1 O 0.99
O 0.5381 0.1847 0.9212  2 H 0.99-1.00
O 0.2307 0.8480 0.8078  1 S 1.49
H 0.9651 0.3083 0.1129  1 O 0.99
O 0.8480 0.8078 0.2307  1 S 1.49
H 0.9651 0.1917 0.6129  1 O 0.99
H 0.1425 0.4116 0.8139  1 O 1.00
H 0.1129 0.5349 0.8083  1 O 0.99
H 0.0070 0.4486 0.7071  1 O 1.02
O 0.3153 0.4212 0.5381  2 H 0.99-1.00
O 0.1922 0.7693 0.1520  1 S 1.49
H 0.1570 0.6118 0.5904  1 O 1.00
O 0.5381 0.3153 0.4212  2 H 0.99-1.00
H 0.2929 0.9930 0.5514  1 O 1.02
H 0.1861 0.8575 0.5884  1 O 1.00
H 0.5904 0.3430 0.1118  1 O 1.00
H 0.0904 0.3430 0.3882  1 O 1.00
O 0.4601 0.4431 0.8611  2 H 1.00-1.02
O 0.0788 0.4619 0.8153  2 H 0.99-1.00
H 0.9116 0.8139 0.3575  1 O 1.00
O 0.8480 0.6922 0.7307  1 S 1.49
O 0.5788 0.0381 0.1847  2 H 0.99-1.00
Al 0.0000 0.0000 0.0000  6 O 1.91
O 0.1520 0.1922 0.7693  1 S 1.49
H 0.2929 0.5070 0.0514  1 O 1.02
H 0.8871 0.4651 0.1917  1 O 0.99
O 0.4212 0.9619 0.8153  2 H 0.99-1.00
H 0.4096 0.6570 0.8882  1 O 1.00
O 0.3365 0.1635 0.8365  1 S 1.50
H 0.4930 0.5514 0.2071  1 O 1.02
H 0.8882 0.0904 0.1570  1 O 1.00
O 0.1520 0.3078 0.2693  1 S 1.49
O 0.8365 0.3365 0.1635  1 S 1.50
H 0.0884 0.1861 0.6425  1 O 1.00
O 0.8611 0.0399 0.9431  2 H 1.00-1.02
H 0.2071 0.0070 0.0514  1 O 1.02
H 0.3139 0.3575 0.5884  1 O 1.00
O 0.9619 0.6847 0.9212  2 H 0.99-1.00
O 0.1389 0.9601 0.0569  2 H 1.00-1.02
H 0.0514 0.2929 0.5070  1 O 1.02
H 0.1861 0.6425 0.0884  1 O 1.00
O 0.7307 0.6520 0.1922  1 S 1.49
O 0.4619 0.6847 0.5788  2 H 0.99-1.00
O 0.2307 0.6520 0.3078  1 S 1.49
O 0.0569 0.3611 0.4601  2 H 1.00-1.02
H 0.4486 0.7929 0.5070  1 O 1.02
H 0.4116 0.6861 0.6425  1 O 1.00
S 0.2342 0.7342 0.7658  4 O 1.49-1.50
O 0.6520 0.3078 0.2307  1 S 1.49
H 0.3083 0.3871 0.4651  1 O 0.99
H 0.3882 0.4096 0.8430  1 O 1.00
H 0.7071 0.0070 0.4486  1 O 1.02
Na 0.0000 0.0000 0.5000  6 O 2.51, 6 H 2.77
O 0.1847 0.9212 0.5381  2 H 0.99-1.00
O 0.9212 0.5381 0.1847  2 H 0.99-1.00
H 0.4651 0.1917 0.8871  1 O 0.99
H 0.3430 0.3882 0.0904  1 O 1.00
H 0.4116 0.8139 0.1425  1 O 1.00
H 0.4651 0.3083 0.3871  1 O 0.99
O 0.0381 0.3153 0.0788  2 H 0.99-1.00
H 0.0349 0.6917 0.8871  1 O 0.99
O 0.8153 0.0788 0.4619  2 H 0.99-1.00
H 0.6570 0.6118 0.9096  1 O 1.00
H 0.5070 0.4486 0.7929  1 O 1.02
H 0.1118 0.9096 0.8430  1 O 1.00
H 0.1570 0.8882 0.0904  1 O 1.00
H 0.7929 0.5070 0.4486  1 O 1.02
H 0.7929 0.9930 0.9486  1 O 1.02
H 0.4096 0.8430 0.3882  1 O 1.00
H 0.4486 0.7071 0.0070  1 O 1.02
O 0.9601 0.0569 0.1389  2 H 1.00-1.02
O 0.6847 0.9212 0.9619  2 H 0.99-1.00
H 0.5884 0.1861 0.8575  1 O 1.00
Al 0.0000 0.5000 0.5000  6 O 1.91
O 0.4212 0.5381 0.3153  2 H 0.99-1.00
H 0.8139 0.3575 0.9116  1 O 1.00
O 0.3078 0.2693 0.1520  1 S 1.49


Record 4
Na2AlSi3HO9 | GGA-PBE | optimized geometry

Values from the calculation:
For the calculated volume, the calculation gives 12.94 Å³/atom. As for the space group: P-1. The value obtained for the final energy is -6.963 eV per atom. Its formation energy is -2.9378 eV/atom.

Unit cell a=7.2714 b=7.3445 c=8.7927 alpha=80.42 beta=79.15 gamma=64.46
With the nearest neighbours (Å) after each atom.
Sites, in units of the cell vectors:
Si 0.5855 0.0955 0.6927  4 O 1.60-1.66
O 0.9989 0.2769 0.6537  2 Si 1.65-1.68
O 0.2616 0.0377 0.4517  2 Si 1.62-1.66
O 0.6192 0.9587 0.2758  2 Si 1.64-1.66
O 0.1368 0.8666 0.7194  1 Si 1.62, 1 Al 1.77
O 0.9657 0.2366 0.9639  1 Si 1.62, 1 Al 1.75
O 0.9784 0.5775 0.7943  1 Si 1.61, 1 Al 1.75
O 0.7384 0.9623 0.5483  2 Si 1.62-1.66
Al 0.0466 0.1960 0.1465  4 O 1.75-1.77
H 0.4099 0.5698 0.2479  1 O 1.06
O 0.8632 0.1334 0.2806  1 Si 1.62, 1 Al 1.77
H 0.5901 0.4302 0.7521  1 O 1.06
O 0.6449 0.4948 0.8230  1 H 1.06
O 0.0216 0.4225 0.2057  1 Si 1.61, 1 Al 1.75
O 0.3551 0.5052 0.1770  1 H 1.06
O 0.5267 0.3336 0.6524  1 H 1.46, 1 Si 1.60
Na 0.7610 0.4126 0.4419  5 O 2.31-2.56
Si 0.4145 0.9045 0.3073  4 O 1.60-1.66
Si 0.1021 0.5993 0.1860  4 O 1.61-1.68
Si 0.8058 0.9473 0.3625  4 O 1.62-1.65
Na 0.6120 0.2145 0.0559  4 O 2.40-2.61
O 0.2983 0.0034 0.1513  1 Si 1.64, 1 Al 1.77
Na 0.3880 0.7855 0.9441  4 O 2.40-2.61
Al 0.9534 0.8040 0.8535  4 O 1.75-1.77
Na 0.2390 0.5874 0.5581  5 O 2.31-2.56
Si 0.1942 0.0527 0.6375  4 O 1.62-1.65
O 0.4733 0.6664 0.3476  1 H 1.46, 1 Si 1.60
Si 0.8979 0.4007 0.8140  4 O 1.61-1.68
O 0.7017 0.9966 0.8487  1 Si 1.64, 1 Al 1.77
O 0.0343 0.7634 0.0361  1 Si 1.62, 1 Al 1.75
O 0.0011 0.7231 0.3463  2 Si 1.65-1.68
O 0.3808 0.0413 0.7242  2 Si 1.64-1.66